A.
The following is a DFT calculation (PBE with a Hubbard U) of an optimized crystal structure of LiFeP4O12.

Cell: 8.9908 8.9908 9.9647 Å, 58.98 58.98 49.49°
Fractional positions:
1 O 0.7655 0.5470 0.3987
2 O 0.7604 0.0239 0.2178
3 O 0.4530 0.2345 0.1013
4 O 0.5958 0.1558 0.5393
5 O 0.3494 0.1430 0.8335
6 O 0.1430 0.3494 0.3335
7 O 0.2004 0.9463 0.0703
8 O 0.2345 0.4530 0.6013
9 O 0.8442 0.4042 0.9607
10 O 0.8570 0.6506 0.6665
11 O 0.2396 0.9761 0.7822
12 O 0.4844 0.3634 0.7158
13 O 0.9761 0.2396 0.2822
14 O 0.6506 0.8570 0.1665
15 O 0.9463 0.2004 0.5703
16 O 0.7996 0.0537 0.9297
17 O 0.5156 0.6366 0.2842
18 O 0.5470 0.7655 0.8987
19 O 0.1558 0.5958 0.0393
20 O 0.0239 0.7604 0.7178
21 O 0.3634 0.4844 0.2158
22 O 0.6366 0.5156 0.7842
23 O 0.4042 0.8442 0.4607
24 O 0.0537 0.7996 0.4297
25 Fe 0.2818 0.7182 0.2500
26 Fe 0.7182 0.2818 0.7500
27 Li 0.1653 0.8347 0.7500
28 Li 0.8347 0.1653 0.2500
29 P 0.2701 0.4358 0.1616
30 P 0.6796 0.0402 0.1111
31 P 0.3204 0.9598 0.8889
32 P 0.5642 0.7299 0.3384
33 P 0.9598 0.3204 0.3889
34 P 0.7299 0.5642 0.8384
35 P 0.0402 0.6796 0.6111
36 P 0.4358 0.2701 0.6616

=====

B.
The following is a DFT calculation (PBE with a Hubbard U) of an optimized crystal structure of LiFeP4O12.

Cell: 9.8518 9.8518 11.4426 Å, 39.34 39.34 50.68°
Fractional positions:
1 O 0.3868 0.3773 0.3054
2 O 0.0755 0.2873 0.2064
3 O 0.0013 0.7451 0.3470
4 O 0.9245 0.7127 0.7936
5 O 0.2026 0.5320 0.5963
6 O 0.0145 0.3062 0.0190
7 O 0.6227 0.6132 0.1946
8 O 0.5320 0.2026 0.0963
9 O 0.7974 0.4680 0.4037
10 O 0.7451 0.0013 0.8470
11 O 0.2549 0.9987 0.1530
12 O 0.6938 0.9855 0.4810
13 O 0.5404 0.1947 0.6148
14 O 0.7127 0.9245 0.2936
15 O 0.4596 0.8053 0.3852
16 O 0.9855 0.6938 0.9810
17 O 0.6132 0.6227 0.6946
18 O 0.4680 0.7974 0.9037
19 O 0.8053 0.4596 0.8852
20 O 0.3773 0.3868 0.8054
21 O 0.2873 0.0755 0.7064
22 O 0.1947 0.5404 0.1148
23 O 0.9987 0.2549 0.6530
24 O 0.3062 0.0145 0.5190
25 P 0.7981 0.7681 0.9617
26 P 0.2319 0.2019 0.5383
27 P 0.4987 0.0133 0.6835
28 P 0.0133 0.4987 0.1835
29 P 0.5013 0.9867 0.3165
30 P 0.2019 0.2319 0.0383
31 P 0.7681 0.7981 0.4617
32 P 0.9867 0.5013 0.8165
33 Li 0.2828 0.7172 0.2500
34 Li 0.7172 0.2828 0.7500
35 Fe 0.5000 0.5000 0.5000
36 Fe 0.5000 0.5000 0.0000

=====

Most stable to least stable, the ends of the list are B and A.

=====

A.
The following is a DFT calculation (PBE with a Hubbard U) of an optimized crystal structure of LiFeP4O12.

Cell: 13.7182 5.2426 7.3535 Å, 81.84 90.00 90.00°
Fractional positions:
1 O 0.6094 0.9729 0.7738
2 O 0.2447 0.3765 0.7650
3 O 0.1085 0.2906 0.4894
4 O 0.4869 0.0742 0.5169
5 O 0.1576 0.8097 0.5479
6 O 0.6576 0.1903 0.4521
7 O 0.3602 0.7243 0.5105
8 O 0.8610 0.0041 0.2302
9 O 0.3610 0.9959 0.7698
10 O 0.2663 0.0470 0.0521
11 O 0.9018 0.6476 0.0387
12 O 0.2172 0.6270 0.2278
13 O 0.1094 0.0271 0.2262
14 O 0.3181 0.2095 0.4435
15 O 0.7663 0.9530 0.9479
16 O 0.7172 0.3730 0.7722
17 O 0.7447 0.6235 0.2350
18 O 0.6177 0.1850 0.0590
19 O 0.9869 0.9258 0.4831
20 O 0.8181 0.7905 0.5565
21 O 0.4018 0.3524 0.9613
22 O 0.6085 0.7094 0.5106
23 O 0.1177 0.8150 0.9410
24 O 0.8602 0.2757 0.4895
25 Li 0.5078 0.3622 0.1138
26 Li 0.0078 0.6378 0.8862
27 P 0.3193 0.2196 0.8842
28 P 0.8747 0.0068 0.4461
29 P 0.5971 0.9779 0.5563
30 P 0.0971 0.0221 0.4437
31 P 0.8193 0.7804 0.1158
32 P 0.6758 0.1435 0.8961
33 P 0.3747 0.9932 0.5539
34 P 0.1758 0.8565 0.1039
35 Fe 0.2350 0.5067 0.4960
36 Fe 0.7350 0.4933 0.5040

=====

B.
The following is a DFT calculation (PBE with a Hubbard U) of an optimized crystal structure of LiFeP4O12.

Cell: 13.1580 7.2812 11.7693 Å, 54.06 90.00 90.00°
Fractional positions:
1 Fe 0.2096 0.5454 0.9378
2 Fe 0.2904 0.5454 0.4378
3 Fe 0.7904 0.4546 0.0622
4 Fe 0.7096 0.4546 0.5622
5 O 0.4880 0.0476 0.7782
6 O 0.0982 0.7871 0.1790
7 O 0.5120 0.9524 0.2218
8 O 0.8080 0.9638 0.6449
9 O 0.6657 0.5654 0.0895
10 O 0.3080 0.0362 0.8551
11 O 0.7083 0.4350 0.9200
12 O 0.0839 0.4011 0.2285
13 O 0.6446 0.6310 0.6649
14 O 0.3268 0.8306 0.2267
15 O 0.7917 0.4350 0.4200
16 O 0.8549 0.7309 0.9097
17 O 0.5839 0.5989 0.2715
18 O 0.4161 0.4011 0.7285
19 O 0.3897 0.7820 0.4373
20 O 0.2917 0.5650 0.0800
21 O 0.5982 0.2129 0.3210
22 O 0.3776 0.1886 0.2047
23 O 0.1103 0.7820 0.9373
24 O 0.1451 0.2691 0.0903
25 O 0.3343 0.4346 0.9105
26 O 0.6103 0.2180 0.5627
27 O 0.8776 0.8114 0.2953
28 O 0.1446 0.3690 0.8351
29 O 0.8343 0.5654 0.5895
30 O 0.9018 0.2129 0.8210
31 O 0.3549 0.2691 0.5903
32 O 0.4018 0.7871 0.6790
33 O 0.6451 0.7309 0.4097
34 O 0.9880 0.9524 0.7218
35 O 0.1224 0.1886 0.7047
36 O 0.1920 0.0362 0.3551
37 O 0.8897 0.2180 0.0627
38 O 0.0120 0.0476 0.2782
39 O 0.6920 0.9638 0.1449
40 O 0.9161 0.5989 0.7715
41 O 0.6224 0.8114 0.7953
42 O 0.2083 0.5650 0.5800
43 O 0.1657 0.4346 0.4105
44 O 0.9794 0.4711 0.3727
45 O 0.3554 0.3690 0.3351
46 O 0.1732 0.8306 0.7267
47 O 0.6732 0.1694 0.7733
48 O 0.8268 0.1694 0.2733
49 O 0.8554 0.6310 0.1649
50 O 0.0206 0.5289 0.6273
51 O 0.5206 0.4711 0.8727
52 O 0.4794 0.5289 0.1273
53 P 0.3997 0.9310 0.2780
54 P 0.1183 0.1809 0.2404
55 P 0.8997 0.0690 0.2220
56 P 0.1003 0.9310 0.7780
57 P 0.8697 0.5808 0.3067
58 P 0.1303 0.4192 0.6933
59 P 0.3697 0.4192 0.1933
60 P 0.5880 0.4583 0.2075
61 P 0.6303 0.5808 0.8067
62 P 0.3817 0.1809 0.7404
63 P 0.4120 0.5417 0.7925
64 P 0.0880 0.5417 0.2925
65 P 0.6183 0.8191 0.2596
66 P 0.9120 0.4583 0.7075
67 P 0.8817 0.8191 0.7596
68 P 0.6003 0.0690 0.7220
69 Li 0.2995 0.9444 0.5269
70 Li 0.7005 0.0556 0.4731
71 Li 0.7995 0.0556 0.9731
72 Li 0.2005 0.9444 0.0269

=====

C.
The following is a DFT calculation (PBE with a Hubbard U) of an optimized crystal structure of LiFeP4O12.

Cell: 9.0289 7.1673 15.6853 Å, 64.47 90.00 90.00°
Fractional positions:
1 P 0.9211 0.5732 0.1818
2 P 0.5101 0.1820 0.6772
3 P 0.6718 0.8038 0.0577
4 P 0.5789 0.5732 0.6818
5 P 0.7433 0.2115 0.0402
6 P 0.0101 0.8180 0.8228
7 P 0.9899 0.1820 0.1772
8 P 0.2433 0.7885 0.4598
9 P 0.3282 0.1962 0.9423
10 P 0.0789 0.4268 0.8182
11 P 0.4899 0.8180 0.3228
12 P 0.4211 0.4268 0.3182
13 P 0.8282 0.8038 0.5577
14 P 0.7567 0.2115 0.5402
15 P 0.2567 0.7885 0.9598
16 P 0.1718 0.1962 0.4423
17 O 0.7755 0.2556 0.9388
18 O 0.3106 0.5458 0.2420
19 O 0.0943 0.7992 0.9157
20 O 0.9775 0.2799 0.7997
21 O 0.6646 0.6985 0.5832
22 O 0.3942 0.9154 0.2362
23 O 0.5943 0.2008 0.5843
24 O 0.8106 0.4542 0.2580
25 O 0.8564 0.3546 0.5587
26 O 0.6837 0.9791 0.0965
27 O 0.1837 0.0209 0.4035
28 O 0.4787 0.4195 0.6554
29 O 0.1436 0.6454 0.4413
30 O 0.4057 0.7992 0.4157
31 O 0.1894 0.5458 0.7420
32 O 0.9500 0.6643 0.6112
33 O 0.8942 0.0846 0.2638
34 O 0.8354 0.6985 0.0832
35 O 0.4775 0.7201 0.7003
36 O 0.5213 0.5805 0.3446
37 O 0.0500 0.3357 0.3888
38 O 0.0213 0.4195 0.1554
39 O 0.8629 0.9150 0.8223
40 O 0.2755 0.7444 0.5612
41 O 0.2245 0.7444 0.0612
42 O 0.6630 0.9040 0.9509
43 O 0.9787 0.5805 0.8446
44 O 0.1058 0.9154 0.7362
45 O 0.6436 0.3546 0.0587
46 O 0.4500 0.3357 0.8888
47 O 0.8370 0.9040 0.4509
48 O 0.0225 0.7201 0.2003
49 O 0.7245 0.2556 0.4388
50 O 0.1630 0.0960 0.5491
51 O 0.6058 0.0846 0.7638
52 O 0.3629 0.0850 0.6777
53 O 0.3370 0.0960 0.0491
54 O 0.9057 0.2008 0.0843
55 O 0.1371 0.0850 0.1777
56 O 0.6894 0.4542 0.7580
57 O 0.3564 0.6454 0.9413
58 O 0.5500 0.6643 0.1112
59 O 0.3163 0.0209 0.9035
60 O 0.5225 0.2799 0.2997
61 O 0.6371 0.9150 0.3223
62 O 0.1646 0.3015 0.9168
63 O 0.3354 0.3015 0.4168
64 O 0.8163 0.9791 0.5965
65 Li 0.9761 0.5882 0.3820
66 Li 0.0239 0.4118 0.6180
67 Li 0.5239 0.5882 0.8820
68 Li 0.4761 0.4118 0.1180
69 Fe 0.7583 0.1502 0.8410
70 Fe 0.2583 0.8498 0.6590
71 Fe 0.2417 0.8498 0.1590
72 Fe 0.7417 0.1502 0.3410

=====

Most stable to least stable, the ends of the list are A and B.